VASP calculation (PBE-GGA) on a relaxed LuFe4Ge2 crystal.

E above lowest polymorph = 0.00 eV/f.u.
E = -7.10 eV per atom
Formation enthalpy at 0 K = -296 meV/atom

a = 7.0174 Å, b = 7.2936 Å, c = 3.8986 Å
α = 90.00°, β = 90.00°, γ = 90.00°
Space group Pnnm (No. 58)
One atom of each set of equivalent atoms:
Lu: 0.0000 0.0000 0.0000 (multiplicity 2)
Fe: 0.0880 0.3538 0.5000 (multiplicity 4)
Fe: 0.1448 0.5987 0.0000 (multiplicity 4)
Ge: 0.2211 0.7912 0.5000 (multiplicity 4)


VASP calculation (PBE-GGA) on a relaxed Lu4FeGe8 crystal.

E = -5.42 eV per atom
Formation enthalpy at 0 K = -531 meV/atom

a = 3.9434 Å, b = 4.0899 Å, c = 15.7364 Å
α = 90.00°, β = 90.00°, γ = 90.00°
Space group Pmm2 (No. 25)
One atom of each set of equivalent atoms:
Lu: 0.0000 0.0000 0.0000 (multiplicity 1)
Lu: 0.0000 0.5000 0.4943 (multiplicity 1)
Lu: 0.5000 0.0000 0.7898 (multiplicity 1)
Lu: 0.5000 0.5000 0.2878 (multiplicity 1)
Fe: 0.0000 0.5000 0.7030 (multiplicity 1)
Ge: 0.0000 0.0000 0.3390 (multiplicity 1)
Ge: 0.0000 0.0000 0.6306 (multiplicity 1)
Ge: 0.0000 0.5000 0.1426 (multiplicity 1)
Ge: 0.0000 0.5000 0.8487 (multiplicity 1)
Ge: 0.5000 0.0000 0.1456 (multiplicity 1)
Ge: 0.5000 0.0000 0.4495 (multiplicity 1)
Ge: 0.5000 0.5000 0.6295 (multiplicity 1)
Ge: 0.5000 0.5000 0.9546 (multiplicity 1)


VASP calculation (PBE-GGA) on a relaxed MgFe6Ge6 crystal.

E = -6.31 eV per atom
Formation enthalpy at 0 K = -147 meV/atom

a = 5.0625 Å, b = 5.0625 Å, c = 8.0551 Å
α = 90.00°, β = 90.00°, γ = 120.00°
Space group P6/mmm (No. 191)
One atom of each set of equivalent atoms:
Mg: 0.0000 0.0000 0.0000 (multiplicity 1)
Fe: 0.0000 0.5000 0.2494 (multiplicity 6)
Ge: 0.0000 0.0000 0.3412 (multiplicity 2)
Ge: 0.3333 0.6667 0.0000 (multiplicity 2)
Ge: 0.3333 0.6667 0.5000 (multiplicity 2)


VASP calculation (PBE-GGA) on a relaxed Mn3Fe3Ge2 crystal.

E = -7.83 eV per atom
Formation enthalpy at 0 K = -67 meV/atom

a = 5.1771 Å, b = 5.1771 Å, c = 4.1383 Å
α = 90.00°, β = 90.00°, γ = 120.00°
Space group P-6m2 (No. 187)
One atom of each set of equivalent atoms:
Mn: 0.1733 0.3467 0.0000 (multiplicity 3)
Fe: 0.0125 0.5063 0.5000 (multiplicity 3)
Ge: 0.0000 0.0000 0.5000 (multiplicity 1)
Ge: 0.6667 0.3333 0.0000 (multiplicity 1)